# 1
{"formula": "MgSn4O9", "functional": "PBE", "state": "optimized geometry", "formation_energy_mev_per_atom": -2042, "spacegroup": "P4/n (85)", "density_g_cm3": 6.3, "lattice_angstrom": [[-3.8677, 5.5457, 4.5626], [-6.9588, -1.6141, -3.9370], [-1.1019, -3.5776, 3.4145]], "species": ["Mg", "Mg", "Sn", "Sn", "Sn", "Sn", "Sn", "Sn", "Sn", "Sn", "O", "O", "O", "O", "O", "O", "O", "O", "O", "O", "O", "O", "O", "O", "O", "O", "O", "O"], "frac_coords": [[0.0000, 0.5000, 0.7198], [0.5000, 0.0000, 0.2802], [0.6880, 0.3863, 0.2685], [0.3863, 0.3120, 0.7315], [0.8863, 0.8120, 0.2685], [0.1880, 0.8863, 0.7315], [0.3120, 0.6137, 0.2685], [0.1137, 0.1880, 0.2685], [0.8120, 0.1137, 0.7315], [0.6137, 0.6880, 0.7315], [0.5000, 0.5000, 0.5000], [0.0000, 0.0000, 0.5000], [0.5041, 0.7463, 0.0826], [0.7537, 0.0041, 0.0826], [0.2463, 0.9959, 0.0826], [0.4959, 0.2537, 0.0826], [0.9959, 0.7537, 0.9174], [0.7463, 0.4959, 0.9174], [0.2537, 0.5041, 0.9174], [0.0041, 0.2463, 0.9174], [0.2056, 0.3970, 0.4420], [0.1030, 0.7056, 0.4420], [0.8970, 0.2944, 0.4420], [0.7944, 0.6030, 0.4420], [0.7056, 0.8970, 0.5580], [0.3970, 0.7944, 0.5580], [0.6030, 0.2056, 0.5580], [0.2944, 0.1030, 0.5580]]}

---

# 2
{"formula": "Mg2Sn9O13", "functional": "PBE", "state": "optimized geometry", "formation_energy_mev_per_atom": -1889, "spacegroup": "C2/m (12)", "density_g_cm3": 5.7, "lattice_angstrom": [[5.2164, -5.4869, 3.1259], [7.0928, -2.9049, 2.8883], [-0.3424, 1.6929, 15.6876]], "species": ["Mg", "Mg", "Sn", "Sn", "Sn", "Sn", "Sn", "Sn", "Sn", "Sn", "Sn", "O", "O", "O", "O", "O", "O", "O", "O", "O", "O", "O", "O", "O"], "frac_coords": [[0.3722, 0.3722, 0.7644], [0.6278, 0.6278, 0.2356], [0.5000, 0.5000, 0.5000], [0.6737, 0.6737, 0.8895], [0.3263, 0.3263, 0.1105], [0.7955, 0.7955, 0.6229], [0.2045, 0.2045, 0.3771], [0.9685, 0.9685, 0.8869], [0.0315, 0.0315, 0.1131], [0.0889, 0.0889, 0.6734], [0.9111, 0.9111, 0.3266], [0.0000, 0.0000, 0.0000], [0.9588, 0.9588, 0.7535], [0.0412, 0.0412, 0.2465], [0.3817, 0.3817, 0.9033], [0.6183, 0.6183, 0.0967], [0.5639, 0.5639, 0.8374], [0.4360, 0.4360, 0.1626], [0.7829, 0.7829, 0.7614], [0.2171, 0.2171, 0.2386], [0.3925, 0.3925, 0.6171], [0.6075, 0.6075, 0.3829], [0.0595, 0.0595, 0.5472], [0.9405, 0.9405, 0.4528]]}

---

# 3
{"formula": "MgSnO6", "functional": "PBE", "state": "optimized geometry", "formation_energy_mev_per_atom": -825, "spacegroup": "Fm-3m (225)", "density_g_cm3": 2.9, "lattice_angstrom": [[0.0000, 4.0844, 4.0844], [4.0844, 0.0000, 4.0844], [4.0844, 4.0844, 0.0000]], "species": ["Mg", "Sn", "O", "O", "O", "O", "O", "O"], "frac_coords": [[0.5000, 0.5000, 0.5000], [0.0000, 0.0000, 0.0000], [0.2529, 0.2529, 0.7471], [0.7471, 0.7471, 0.2529], [0.2529, 0.7471, 0.7471], [0.7471, 0.2529, 0.2529], [0.7471, 0.2529, 0.7471], [0.2529, 0.7471, 0.2529]]}

---

# 4
{"formula": "Mg3SnO4", "functional": "PBE", "state": "optimized geometry", "formation_energy_mev_per_atom": -2301, "spacegroup": "Pm-3m (221)", "density_g_cm3": 4.4, "lattice_angstrom": [[4.5859, 0.0000, 0.0000], [0.0000, 4.5859, 0.0000], [0.0000, 0.0000, 4.5859]], "species": ["Mg", "Mg", "Mg", "Sn", "O", "O", "O", "O"], "frac_coords": [[0.0000, 0.5000, 0.5000], [0.5000, 0.0000, 0.5000], [0.5000, 0.5000, 0.0000], [0.0000, 0.0000, 0.0000], [0.5000, 0.0000, 0.0000], [0.5000, 0.5000, 0.5000], [0.0000, 0.0000, 0.5000], [0.0000, 0.5000, 0.0000]]}

---

# 5
{"formula": "SrMg14SnO16", "functional": "PBE", "state": "optimized geometry", "formation_energy_mev_per_atom": -2764, "relative_energy_mev_per_atom": 22, "spacegroup": "Pmmm (47)", "density_g_cm3": 3.8, "lattice_angstrom": [[8.7734, 0.0000, 0.0000], [0.0000, 8.9068, 0.0000], [0.0000, 0.0000, 4.4748]], "species": ["Sr", "Mg", "Mg", "Mg", "Mg", "Mg", "Mg", "Mg", "Mg", "Mg", "Mg", "Mg", "Mg", "Mg", "Mg", "Sn", "O", "O", "O", "O", "O", "O", "O", "O", "O", "O", "O", "O", "O", "O", "O", "O"], "frac_coords": [[0.0000, 0.5000, 0.0000], [0.5000, 0.0000, 0.0000], [0.5000, 0.5000, 0.0000], [0.0000, 0.2491, 0.5000], [0.0000, 0.7509, 0.5000], [0.5000, 0.2500, 0.5000], [0.5000, 0.7500, 0.5000], [0.2600, 0.0000, 0.5000], [0.2610, 0.5000, 0.5000], [0.7400, 0.0000, 0.5000], [0.7390, 0.5000, 0.5000], [0.2611, 0.2487, 0.0000], [0.2611, 0.7513, 0.0000], [0.7389, 0.2487, 0.0000], [0.7389, 0.7513, 0.0000], [0.0000, 0.0000, 0.0000], [0.2738, 0.0000, 0.0000], [0.2727, 0.5000, 0.0000], [0.7262, 0.0000, 0.0000], [0.7273, 0.5000, 0.0000], [0.2509, 0.2502, 0.5000], [0.2509, 0.7498, 0.5000], [0.7491, 0.2502, 0.5000], [0.7491, 0.7498, 0.5000], [0.0000, 0.0000, 0.5000], [0.0000, 0.5000, 0.5000], [0.5000, 0.0000, 0.5000], [0.5000, 0.5000, 0.5000], [0.0000, 0.2472, 0.0000], [0.0000, 0.7528, 0.0000], [0.5000, 0.2499, 0.0000], [0.5000, 0.7501, 0.0000]]}

---

# 6
{"formula": "SrMg6SnO8", "functional": "PBE", "state": "optimized geometry", "formation_energy_mev_per_atom": -2592, "relative_energy_mev_per_atom": 0, "spacegroup": "P4/mmm (123)", "density_g_cm3": 4.1, "lattice_angstrom": [[-5.8826, -6.5691, 2.1472], [3.0428, -1.7375, 3.0205], [-1.7752, 2.6776, 3.3286]], "species": ["Sr", "Mg", "Mg", "Mg", "Mg", "Mg", "Mg", "Sn", "O", "O", "O", "O", "O", "O", "O", "O"], "frac_coords": [[0.0000, 0.5000, 0.5000], [0.5000, 0.0000, 0.0000], [0.5000, 0.5000, 0.5000], [0.2734, 0.0000, 0.5000], [0.7266, 0.0000, 0.5000], [0.2734, 0.5000, 0.0000], [0.7266, 0.5000, 0.0000], [0.0000, 0.0000, 0.0000], [0.2767, 0.0000, 0.0000], [0.7233, 0.0000, 0.0000], [0.2752, 0.5000, 0.5000], [0.7248, 0.5000, 0.5000], [0.0000, 0.0000, 0.5000], [0.5000, 0.0000, 0.5000], [0.0000, 0.5000, 0.0000], [0.5000, 0.5000, 0.0000]]}